(1)
Below is a relaxed structure of Rb2Pd3S4, with properties calculated at the r²SCAN level.

Structure (extended XYZ):
```
18
Lattice="0.0000 5.4087 13.4622 3.0813 0.0000 13.4622 3.0813 5.4087 0.0000" Properties=species:S:1:pos:R:3 pbc="T T T"
Rb 0.7703 1.3522 1.2381
Rb 0.7703 1.3522 5.4930
Rb 5.3923 9.4652 21.4314
Rb 5.3923 9.4652 25.6863
Pd 2.3110 4.0565 3.3773
Pd 2.3110 4.0565 10.0967
Pd 3.8516 6.7609 10.1084
Pd 2.3110 4.0565 16.8160
Pd 3.8516 6.7609 16.8278
Pd 3.8516 6.7609 23.5471
S 2.2898 2.2622 8.5625
S 2.3321 2.2622 11.6308
S 3.8728 4.9666 15.2936
S 2.3321 5.8508 8.5625
S 3.8305 4.9666 18.3619
S 2.2898 5.8508 11.6308
S 3.8305 8.5552 15.2936
S 3.8728 8.5552 18.3619
```

DFT total energy ... -273.10 eV/cell
Symmetry ... No. 70


(2)
Below is a relaxed structure of Ti2RePd, with properties calculated at the r²SCAN level.

Structure (extended XYZ):
```
4
Lattice="0.0000 3.1215 3.1215 3.1215 0.0000 3.1215 3.1215 3.1215 0.0000" Properties=species:S:1:pos:R:3 pbc="T T T"
Ti 1.5607 1.5607 1.5607
Ti 4.6822 4.6822 4.6822
Re 0.0000 0.0000 0.0000
Pd 3.1215 3.1215 3.1215
```

DFT total energy ... -103.35 eV/cell
Symmetry ... No. 225


(3)
Below is a relaxed structure of Tb2PdRh, with properties calculated at the r²SCAN level.

Structure (extended XYZ):
```
4
Lattice="0.0000 3.4581 3.4581 3.4581 0.0000 3.4581 3.4581 3.4581 0.0000" Properties=species:S:1:pos:R:3 pbc="T T T"
Tb 1.7290 1.7290 1.7290
Tb 5.1871 5.1871 5.1871
Pd 0.0000 0.0000 0.0000
Rh 3.4581 3.4581 3.4581
```

DFT total energy ... -113.20 eV/cell
Symmetry ... No. 225


(4)
Below is a relaxed structure of Tm2PdRh, with properties calculated at the r²SCAN level.

Structure (extended XYZ):
```
4
Lattice="0.0000 3.3946 3.3946 3.3946 0.0000 3.3946 3.3946 3.3946 0.0000" Properties=species:S:1:pos:R:3 pbc="T T T"
Tm 1.6973 1.6973 1.6973
Tm 5.0919 5.0919 5.0919
Pd 0.0000 0.0000 0.0000
Rh 3.3946 3.3946 3.3946
```

DFT total energy ... -121.34 eV/cell
Symmetry ... No. 225


(5)
Below is a relaxed structure of U2Pd3Rh3, with properties calculated at the r²SCAN level.

Structure (extended XYZ):
```
8
Lattice="3.9305 0.0000 0.0000 0.0000 4.0492 0.0000 0.0000 0.0000 8.3763" Properties=species:S:1:pos:R:3 pbc="T T T"
U 0.0000 0.0000 2.0368
U 0.0000 0.0000 6.3395
Pd 0.0000 2.0246 0.0000
Pd 0.0000 2.0246 4.1881
Pd 1.9653 0.0000 4.1881
Rh 1.9653 0.0000 0.0000
Rh 1.9653 2.0246 2.0997
Rh 1.9653 2.0246 6.2766
```

DFT total energy ... -306.62 eV/cell
Symmetry ... No. 47


(6)
Below is a relaxed structure of Yb2PdRh, with properties calculated at the r²SCAN level.

Structure (extended XYZ):
```
4
Lattice="0.0000 3.3817 3.3817 3.3817 0.0000 3.3817 3.3817 3.3817 0.0000" Properties=species:S:1:pos:R:3 pbc="T T T"
Yb 1.6908 1.6908 1.6908
Yb 5.0725 5.0725 5.0725
Pd 0.0000 0.0000 0.0000
Rh 3.3817 3.3817 3.3817
```

DFT total energy ... -124.29 eV/cell
Symmetry ... No. 225